No. 1
A plane-wave DFT calculation with PBE+U was carried out for crystalline Li4Fe3NiO8 at its relaxed geometry.

abc: 5.9144 5.9144 14.7010
angles: 90.00 90.00 120.00
Space group R-3m (No. 166, hexagonal axes)
Inequivalent atoms, fractional coordinates:
Li (0.0000, 0.0000, 0.0000) (multiplicity 3)
Li (0.0000, 0.5000, 0.0000) (multiplicity 9)
Fe (0.0000, 0.5000, 0.5000) (multiplicity 9)
Ni (0.0000, 0.0000, 0.5000) (multiplicity 3)
O (0.0000, 0.0000, 0.2441) (multiplicity 6)
O (0.0006, 0.5003, 0.2419) (multiplicity 18)

Results
**Formation energy**: -1.825 eV per atom
**VASP energy**: -5.800 eV/atom
**Total magnetic moment**: 48.00 μB/cell

No. 2
A plane-wave DFT calculation with PBE+U was carried out for crystalline Li5Fe2Ni3O10 at its relaxed geometry.

abc: 5.083 5.100 7.715
angles: 70.97 71.49 81.26
Space group P-1 (No. 2)
Inequivalent atoms, fractional coordinates:
Li (0.000, 0.000, 0.000) (multiplicity 1)
Li (0.497, 0.713, 0.092) (multiplicity 2)
Li (0.499, 0.900, 0.709) (multiplicity 2)
Fe (0.006, 0.399, 0.192) (multiplicity 2)
Ni (0.001, 0.198, 0.601) (multiplicity 2)
Ni (0.500, 0.500, 0.500) (multiplicity 1)
O (0.225, 0.045, 0.170) (multiplicity 2)
O (0.229, 0.265, 0.737) (multiplicity 2)
O (0.233, 0.439, 0.365) (multiplicity 2)
O (0.234, 0.839, 0.544) (multiplicity 2)
O (0.242, 0.633, 0.949) (multiplicity 2)

Results
**Formation energy**: -1.659 eV per atom
**VASP energy**: -5.374 eV/atom
**Total magnetic moment**: 13.00 μB/cell

No. 3
A plane-wave DFT calculation with PBE+U was carried out for crystalline Li2Fe3NiO8 at its relaxed geometry.

abc: 5.911 5.923 5.976
angles: 119.40 90.11 119.58
Space group P-1 (No. 2)
Inequivalent atoms, fractional coordinates:
Li (0.000, 0.000, 0.000) (multiplicity 1)
Li (0.000, 0.500, 0.000) (multiplicity 1)
Fe (0.000, 0.000, 0.500) (multiplicity 1)
Fe (0.000, 0.500, 0.500) (multiplicity 1)
Fe (0.500, 0.000, 0.500) (multiplicity 1)
Ni (0.500, 0.500, 0.500) (multiplicity 1)
O (0.211, 0.041, 0.705) (multiplicity 2)
O (0.227, 0.558, 0.716) (multiplicity 2)
O (0.236, 0.438, 0.285) (multiplicity 2)
O (0.236, 0.940, 0.289) (multiplicity 2)

Results
**Formation energy**: -1.085 eV per atom
**VASP energy**: -5.356 eV/atom
**Total magnetic moment**: 14.00 μB/cell

No. 4
A plane-wave DFT calculation with PBE+U was carried out for crystalline Li4FeNi5O12 at its relaxed geometry.

abc: 4.936 4.945 9.959
angles: 90.31 91.01 118.91
Space group P1 (No. 1)
Inequivalent atoms, fractional coordinates:
Li (0.000, 0.000, 0.000) (multiplicity 1)
Li (0.202, 0.197, 0.503) (multiplicity 1)
Li (0.494, 0.498, 0.001) (multiplicity 1)
Li (0.699, 0.703, 0.502) (multiplicity 1)
Fe (0.351, 0.850, 0.752) (multiplicity 1)
Ni (0.017, 0.185, 0.751) (multiplicity 1)
Ni (0.181, 0.013, 0.252) (multiplicity 1)
Ni (0.511, 0.684, 0.251) (multiplicity 1)
Ni (0.685, 0.514, 0.752) (multiplicity 1)
Ni (0.849, 0.345, 0.252) (multiplicity 1)
O (0.023, 0.520, 0.849) (multiplicity 1)
O (0.025, 0.876, 0.643) (multiplicity 1)
O (0.173, 0.314, 0.144) (multiplicity 1)
O (0.179, 0.680, 0.345) (multiplicity 1)
O (0.326, 0.176, 0.861) (multiplicity 1)
O (0.377, 0.525, 0.641) (multiplicity 1)
O (0.501, 0.350, 0.353) (multiplicity 1)
O (0.513, 0.017, 0.157) (multiplicity 1)
O (0.675, 0.822, 0.861) (multiplicity 1)
O (0.679, 0.179, 0.654) (multiplicity 1)
O (0.844, 0.696, 0.150) (multiplicity 1)
O (0.882, 0.020, 0.359) (multiplicity 1)

Results
**Formation energy**: -1.331 eV per atom
**VASP energy**: -5.021 eV/atom
**Total magnetic moment**: 8.00 μB/cell

No. 5
A plane-wave DFT calculation with PBE+U was carried out for crystalline Li10FeNi9O20 at its relaxed geometry.

abc: 6.485 7.674 7.694
angles: 65.43 89.20 89.61
Space group P-1 (No. 2)
Inequivalent atoms, fractional coordinates:
Li (0.000, 0.000, 0.000) (multiplicity 1)
Li (0.096, 0.404, 0.901) (multiplicity 2)
Li (0.199, 0.800, 0.800) (multiplicity 2)
Li (0.302, 0.205, 0.704) (multiplicity 2)
Li (0.398, 0.600, 0.597) (multiplicity 2)
Li (0.500, 0.000, 0.500) (multiplicity 1)
Fe (0.500, 0.500, 0.000) (multiplicity 1)
Ni (0.000, 0.500, 0.500) (multiplicity 1)
Ni (0.101, 0.899, 0.402) (multiplicity 2)
Ni (0.198, 0.299, 0.300) (multiplicity 2)
Ni (0.300, 0.700, 0.202) (multiplicity 2)
Ni (0.399, 0.097, 0.101) (multiplicity 2)
O (0.014, 0.753, 0.267) (multiplicity 2)
O (0.095, 0.667, 0.626) (multiplicity 2)
O (0.110, 0.126, 0.171) (multiplicity 2)
O (0.174, 0.046, 0.543) (multiplicity 2)
O (0.205, 0.548, 0.055) (multiplicity 2)
O (0.276, 0.453, 0.447) (multiplicity 2)
O (0.317, 0.954, 0.964) (multiplicity 2)
O (0.377, 0.855, 0.352) (multiplicity 2)
O (0.410, 0.350, 0.853) (multiplicity 2)
O (0.488, 0.241, 0.236) (multiplicity 2)

Results
**Formation energy**: -1.532 eV per atom
**VASP energy**: -5.024 eV/atom
**Total magnetic moment**: 14.00 μB/cell

No. 6
A plane-wave DFT calculation with PBE+U was carried out for crystalline Li2Fe3NiO8 at its relaxed geometry.

abc: 8.342 8.404 8.410
angles: 89.82 89.88 89.88
Space group P1 (No. 1)
Inequivalent atoms, fractional coordinates:
Li (0.000, 0.000, 0.000) (multiplicity 1)
Li (0.001, 0.502, 0.504) (multiplicity 1)
Li (0.126, 0.626, 0.121) (multiplicity 1)
Li (0.371, 0.376, 0.624) (multiplicity 1)
Li (0.499, 0.502, 0.003) (multiplicity 1)
Li (0.502, 0.008, 0.506) (multiplicity 1)
Li (0.623, 0.876, 0.869) (multiplicity 1)
Li (0.872, 0.127, 0.373) (multiplicity 1)
Fe (0.121, 0.131, 0.618) (multiplicity 1)
Fe (0.125, 0.375, 0.871) (multiplicity 1)
Fe (0.128, 0.877, 0.369) (multiplicity 1)
Fe (0.369, 0.626, 0.373) (multiplicity 1)
Fe (0.369, 0.872, 0.121) (multiplicity 1)
Fe (0.371, 0.128, 0.865) (multiplicity 1)
Fe (0.622, 0.626, 0.625) (multiplicity 1)
Fe (0.625, 0.125, 0.122) (multiplicity 1)
Fe (0.625, 0.370, 0.373) (multiplicity 1)
Fe (0.871, 0.630, 0.875) (multiplicity 1)
Fe (0.872, 0.874, 0.626) (multiplicity 1)
Fe (0.873, 0.374, 0.127) (multiplicity 1)
Ni (0.246, 0.752, 0.751) (multiplicity 1)
Ni (0.250, 0.252, 0.247) (multiplicity 1)
Ni (0.744, 0.250, 0.742) (multiplicity 1)
Ni (0.747, 0.754, 0.244) (multiplicity 1)
O (0.103, 0.608, 0.871) (multiplicity 1)
O (0.107, 0.885, 0.613) (multiplicity 1)
O (0.110, 0.372, 0.101) (multiplicity 1)
O (0.120, 0.362, 0.650) (multiplicity 1)
O (0.122, 0.116, 0.385) (multiplicity 1)
O (0.141, 0.135, 0.865) (multiplicity 1)
O (0.148, 0.874, 0.136) (multiplicity 1)
O (0.150, 0.636, 0.372) (multiplicity 1)
O (0.355, 0.873, 0.366) (multiplicity 1)
O (0.358, 0.355, 0.874) (multiplicity 1)
O (0.361, 0.127, 0.648) (multiplicity 1)
O (0.372, 0.899, 0.880) (multiplicity 1)
O (0.373, 0.649, 0.140) (multiplicity 1)
O (0.381, 0.112, 0.105) (multiplicity 1)
O (0.386, 0.630, 0.607) (multiplicity 1)
O (0.395, 0.387, 0.372) (multiplicity 1)
O (0.597, 0.130, 0.879) (multiplicity 1)
O (0.598, 0.889, 0.125) (multiplicity 1)
O (0.607, 0.611, 0.376) (multiplicity 1)
O (0.621, 0.152, 0.361) (multiplicity 1)
O (0.623, 0.385, 0.595) (multiplicity 1)
O (0.627, 0.367, 0.145) (multiplicity 1)
O (0.647, 0.622, 0.859) (multiplicity 1)
O (0.651, 0.861, 0.615) (multiplicity 1)
O (0.849, 0.381, 0.361) (multiplicity 1)
O (0.851, 0.140, 0.116) (multiplicity 1)
O (0.867, 0.641, 0.641) (multiplicity 1)
O (0.871, 0.615, 0.102) (multiplicity 1)
O (0.875, 0.848, 0.868) (multiplicity 1)
O (0.879, 0.101, 0.626) (multiplicity 1)
O (0.881, 0.395, 0.883) (multiplicity 1)
O (0.905, 0.863, 0.375) (multiplicity 1)

Results
**Formation energy**: -1.504 eV per atom
**VASP energy**: -5.775 eV/atom
**Total magnetic moment**: 56.00 μB/cell